Entry 1:
This record from Materials Project describes a relaxed SiAgPt5 crystal. The functional is PBE.

Calculated values
Formation energy, eV/atom: -0.27
M_tot, μB/f.u.: 0.00

Cell lengths 3.9738, 3.9738, 7.1037 Å; angles 90.00, 90.00, 90.00 degrees
Last column: nearest neighbours and their distance in Å.
Positions (direct):
Pt1 0.0000 0.5000 0.2958  2 Si 2.46
Si1 0.0000 0.0000 0.5000  8 Pt 2.46
Pt2 0.0000 0.0000 0.0000  4 Ag 2.81, 8 Pt 2.89
Pt3 0.5000 0.0000 0.7042  2 Si 2.46
Pt4 0.0000 0.5000 0.7042  2 Si 2.46
Ag1 0.5000 0.5000 0.0000  12 Pt 2.81-2.89
Pt5 0.5000 0.0000 0.2958  2 Si 2.46

=====

Entry 2:
This record from Materials Project describes a relaxed Sr2AgPt crystal. The functional is PBE.

Calculated values
Formation energy, eV/atom: -0.52
M_tot, μB/f.u.: 0.00

Cell lengths 5.3762, 5.3762, 5.3762 Å; angles 60.00, 60.00, 60.00 degrees
Last column: nearest neighbours and their distance in Å.
Positions (direct):
Sr1 0.2500 0.2500 0.2500  4 Ag 3.29, 4 Pt 3.29
Ag1 0.5000 0.5000 0.5000  8 Sr 3.29
Pt1 0.0000 0.0000 0.0000  8 Sr 3.29
Sr2 0.7500 0.7500 0.7500  4 Ag 3.29, 4 Pt 3.29

=====

Entry 3:
This record from Materials Project describes a relaxed Tm2AgPt crystal. The functional is PBE.

Calculated values
Formation energy, eV/atom: -0.83

Cell lengths 4.9627, 4.9627, 4.9627 Å; angles 60.00, 60.00, 60.00 degrees
Last column: nearest neighbours and their distance in Å.
Positions (direct):
Ag1 0.5000 0.5000 0.5000  8 Tm 3.04
Tm1 0.2500 0.2500 0.2500  4 Pt 3.04, 4 Ag 3.04
Pt1 0.0000 0.0000 0.0000  8 Tm 3.04
Tm2 0.7500 0.7500 0.7500  4 Pt 3.04, 4 Ag 3.04

=====

Entry 4:
This record from Materials Project describes a relaxed Rb3Ag9Sb4S12 crystal. The functional is PBE.

Calculated values
Formation energy, eV/atom: -0.58
M_tot, μB/f.u.: 0.00

Cell lengths 9.8593, 9.8593, 9.8593 Å; angles 111.24, 111.24, 105.99 degrees
Last column: nearest neighbours and their distance in Å.
Positions (direct):
Ag1 0.5015 0.0062 0.1693  3 S 2.54-2.58
Rb1 0.6718 0.6718 0.0000  8 S 3.45-3.67
Ag2 0.9938 0.1631 0.4953  3 S 2.54-2.58
S1 0.9021 0.1081 0.6899  1 Sb 2.46, 2 Ag 2.54-2.56
Ag3 0.2500 0.7500 0.5000  4 S 2.83, 4 Ag 2.92
S2 0.4182 0.2122 0.3101  1 Sb 2.46, 2 Ag 2.54-2.56
Ag4 0.9930 0.8406 0.5063  3 S 2.52-2.60
S3 0.6867 0.6635 0.3550  1 Sb 2.45, 2 Ag 2.52-2.58
S4 0.8919 0.5818 0.7940  1 Sb 2.46, 2 Ag 2.54-2.56
S5 0.1119 0.8932 0.3232  1 Sb 2.49, 2 Ag 2.55-2.60
Rb2 0.0000 0.0000 0.0000  8 S 3.49-3.61, 2 Rb 3.90
Sb1 0.3926 0.1335 0.5133  3 S 2.45-2.49
Sb2 0.8665 0.3797 0.2591  3 S 2.45-2.49
S6 0.2113 0.8881 0.7813  1 Sb 2.49, 2 Ag 2.55-2.60
Ag5 0.3343 0.4868 0.4937  3 S 2.52-2.60
S7 0.6683 0.3133 0.9768  1 Sb 2.45, 2 Ag 2.52-2.58
S8 0.3085 0.3317 0.6450  1 Sb 2.45, 2 Ag 2.52-2.58
S9 0.7878 0.0979 0.2060  1 Sb 2.46, 2 Ag 2.54-2.56
Ag6 0.6678 0.4985 0.5047  3 S 2.54-2.58
Sb3 0.1207 0.6074 0.7409  3 S 2.45-2.49
Ag7 0.8369 0.3322 0.8307  3 S 2.54-2.58
S10 0.1068 0.4300 0.2187  1 Sb 2.49, 2 Ag 2.55-2.60
Ag8 0.1594 0.6657 0.1525  3 S 2.52-2.60
S11 0.5700 0.7887 0.6768  1 Sb 2.49, 2 Ag 2.55-2.60
Ag9 0.5132 0.0070 0.8475  3 S 2.52-2.60
Rb3 0.3282 0.3282 0.0000  8 S 3.45-3.67
Sb4 0.6202 0.8793 0.4867  3 S 2.45-2.49
S12 0.3365 0.6915 0.0232  1 Sb 2.45, 2 Ag 2.52-2.58

=====

Entry 5:
This record from Materials Project describes a relaxed Rb2TaAgS2 crystal. The functional is PBE.

Calculated values
Formation energy, eV/atom: -0.41
M_tot, μB/f.u.: 0.00

Cell lengths 5.8815, 6.8487, 23.3324 Å; angles 86.90, 82.76, 64.57 degrees
Last column: nearest neighbours and their distance in Å.
Positions (direct):
Ta1 0.3750 0.7500 0.7500  2 S 2.31
Rb1 0.5044 0.2717 0.6080  3 S 3.06-3.15, 1 Ag 3.32, 1 Rb 3.42
Ta2 0.8750 0.7500 0.2500  2 S 2.31
Rb2 0.8877 0.7283 0.6080  3 S 3.06-3.15, 1 Ag 3.32, 1 Rb 3.42
S1 0.7702 0.2390 0.8486  1 Ta 2.31
Ta3 0.8750 0.2500 0.2500  2 S 2.31
Rb3 0.2456 0.2283 0.8920  3 S 3.06-3.15, 1 Ag 3.32, 1 Rb 3.42
Ag1 0.3750 0.7500 0.2500  2 Ta 2.94
S2 0.8922 0.7390 0.3486  1 Ta 2.31
Rb4 0.8623 0.7717 0.8920  3 S 3.06-3.15, 1 Ag 3.32, 1 Rb 3.42
S3 0.9908 0.2390 0.1514  1 Ta 2.31
Rb5 0.5261 0.2283 0.1080  3 S 3.06-3.15, 1 Ag 3.32, 1 Rb 3.42
S4 0.9798 0.2610 0.6514  1 Ta 2.31
Ta4 0.8750 0.2500 0.7500  2 S 2.31
Rb6 0.2239 0.2717 0.3920  3 S 3.06-3.15, 1 Ag 3.32, 1 Rb 3.42
S5 0.8578 0.7610 0.1514  1 Ta 2.31
Ag2 0.3750 0.2500 0.7500  2 Ta 2.94
Ag3 0.8750 0.7500 0.7500  2 Ta 2.94
S6 0.3688 0.7390 0.6514  1 Ta 2.31
S7 0.3812 0.7610 0.8486  1 Ta 2.31
Rb7 0.3660 0.7717 0.1080  3 S 3.06-3.15, 1 Ag 3.32, 1 Rb 3.42
Rb8 0.3840 0.7283 0.3920  3 S 3.06-3.15, 1 Ag 3.32, 1 Rb 3.42
Ag4 0.3750 0.2500 0.2500  2 Ta 2.94
S8 0.7592 0.2610 0.3486  1 Ta 2.31

=====

Entry 6:
This record from Materials Project describes a relaxed Rb2TiAg2S4 crystal. The functional is PBE.

Calculated values
Formation energy, eV/atom: -1.21
M_tot, μB/f.u.: 0.00

Cell lengths 6.0340, 6.0340, 13.5337 Å; angles 90.00, 90.00, 90.00 degrees
Last column: nearest neighbours and their distance in Å.
Positions (direct):
S1 0.2154 0.7846 0.8536  1 Ti 2.31, 2 Ag 2.57
Ti1 0.0000 0.0000 0.2500  4 S 2.31
Rb1 0.7392 0.2608 0.5000  8 S 3.50-3.74
Ag1 0.5000 0.0000 0.2500  4 S 2.57
Rb2 0.2608 0.2608 0.0000  8 S 3.50-3.74
Ag2 0.5000 0.0000 0.7500  4 S 2.57
S2 0.7846 0.7846 0.3536  1 Ti 2.31, 2 Ag 2.57
Ag3 0.0000 0.5000 0.7500  4 S 2.57
Rb3 0.2608 0.7392 0.5000  8 S 3.50-3.74
Rb4 0.7392 0.7392 0.0000  8 S 3.50-3.74
S3 0.7846 0.2154 0.1464  1 Ti 2.31, 2 Ag 2.57
S4 0.2154 0.2154 0.6464  1 Ti 2.31, 2 Ag 2.57
S5 0.7846 0.7846 0.6464  1 Ti 2.31, 2 Ag 2.57
S6 0.2154 0.2154 0.3536  1 Ti 2.31, 2 Ag 2.57
Ag4 0.0000 0.5000 0.2500  4 S 2.57
S7 0.7846 0.2154 0.8536  1 Ti 2.31, 2 Ag 2.57
Ti2 0.0000 0.0000 0.7500  4 S 2.31
S8 0.2154 0.7846 0.1464  1 Ti 2.31, 2 Ag 2.57

=====

Entry 7:
This record from Materials Project describes a relaxed RbAg5Se3 crystal. The functional is PBE.

Calculated values
Formation energy, eV/atom: -0.46

Cell lengths 6.0909, 6.0909, 11.4814 Å; angles 90.00, 90.00, 90.00 degrees
Last column: nearest neighbours and their distance in Å.
Positions (direct):
Se1 0.5000 0.0000 0.0000  8 Ag 2.78-3.05
Ag1 0.2021 0.7021 0.8114  3 Se 2.69-2.78
Ag2 0.0000 0.0000 0.0000  4 Se 3.05, 8 Ag 3.08
Ag3 0.7979 0.7021 0.1886  3 Se 2.69-2.78
Ag4 0.2979 0.7979 0.1886  3 Se 2.69-2.78
Se2 0.5000 0.5000 0.3245  4 Ag 2.69
Ag5 0.7979 0.2979 0.8114  3 Se 2.69-2.78
Rb1 0.0000 0.5000 0.5000  8 Se 3.65, 4 Ag 3.98
Se3 0.0000 0.5000 0.0000  8 Ag 2.78-3.05
Ag6 0.7021 0.2021 0.1886  3 Se 2.69-2.78
Ag7 0.7021 0.7979 0.8114  3 Se 2.69-2.78
Se4 0.0000 0.0000 0.3245  4 Ag 2.69
Ag8 0.5000 0.5000 0.0000  4 Se 3.05, 8 Ag 3.08
Rb2 0.5000 0.0000 0.5000  8 Se 3.65, 4 Ag 3.98
Ag9 0.2021 0.2979 0.1886  3 Se 2.69-2.78
Se5 0.5000 0.5000 0.6755  4 Ag 2.69
Ag10 0.2979 0.2021 0.8114  3 Se 2.69-2.78
Se6 0.0000 0.0000 0.6755  4 Ag 2.69

=====

Entry 8:
This record from Materials Project describes a relaxed RbAg3Se2 crystal. The functional is PBE.

Calculated values
Formation energy, eV/atom: -0.58

Cell lengths 8.7103, 8.7103, 9.1051 Å; angles 67.01, 67.01, 29.67 degrees
Last column: nearest neighbours and their distance in Å.
Positions (direct):
Ag1 0.4085 0.4085 0.6427  3 Se 2.63-2.78, 1 Ag 2.94
Se1 0.4813 0.4813 0.2186  4 Ag 2.63-2.73
Rb1 0.8639 0.8639 0.0491  7 Se 3.55-3.76, 3 Ag 3.94-3.95
Ag2 0.5915 0.5915 0.3573  3 Se 2.63-2.78, 1 Ag 2.94
Se2 0.5187 0.5187 0.7814  4 Ag 2.63-2.73
Se3 0.1979 0.1979 0.3042  4 Ag 2.64-2.78
Se4 0.8021 0.8021 0.6958  4 Ag 2.64-2.78
Ag3 0.0575 0.0575 0.5976  3 Se 2.70-2.76, 2 Ag 3.01
Rb2 0.1361 0.1361 0.9509  7 Se 3.55-3.76, 3 Ag 3.94-3.95
Ag4 0.3122 0.3122 0.4354  2 Se 2.64-2.73, 3 Ag 2.94-2.96
Ag5 0.9425 0.9425 0.4024  3 Se 2.70-2.76, 2 Ag 3.01
Ag6 0.6878 0.6878 0.5646  2 Se 2.64-2.73, 3 Ag 2.94-2.96

=====

Entry 9:
This record from Materials Project describes a relaxed RbSm2Ag3Se5 crystal. The functional is PBE.

Calculated values
Formation energy, eV/atom: -1.34

Cell lengths 8.0468, 8.0468, 17.6773 Å; angles 90.00, 90.00, 148.39 degrees
Last column: nearest neighbours and their distance in Å.
Positions (direct):
Se1 0.9353 0.0647 0.6195  3 Ag 2.75-2.78, 2 Sm 2.97
Sm1 0.3092 0.6908 0.5951  6 Se 2.93-3.01
Sm2 0.6908 0.3092 0.0951  6 Se 2.93-3.01
Se2 0.7572 0.2428 0.2500  2 Ag 2.65, 2 Sm 2.93
Rb1 0.4360 0.5640 0.2500  8 Se 3.53-3.75
Ag1 0.9142 0.0858 0.4633  4 Se 2.69-2.78, 1 Ag 2.96
Se3 0.9353 0.0647 0.8805  3 Ag 2.75-2.78, 2 Sm 2.97
Se4 0.6788 0.3212 0.9288  2 Ag 2.69, 3 Sm 2.94-3.01
Se5 0.3212 0.6788 0.4288  2 Ag 2.69, 3 Sm 2.94-3.01
Ag2 0.0858 0.9142 0.9633  4 Se 2.69-2.78, 1 Ag 2.96
Ag3 0.8388 0.1612 0.7500  4 Se 2.65-2.75
Ag4 0.9142 0.0858 0.0367  4 Se 2.69-2.78, 1 Ag 2.96
Se6 0.3212 0.6788 0.0712  2 Ag 2.69, 3 Sm 2.94-3.01
Se7 0.2428 0.7572 0.7500  2 Ag 2.65, 2 Sm 2.93
Rb2 0.5640 0.4360 0.7500  8 Se 3.53-3.75
Se8 0.0647 0.9353 0.3805  3 Ag 2.75-2.78, 2 Sm 2.97
Sm3 0.3092 0.6908 0.9049  6 Se 2.93-3.01
Ag5 0.1612 0.8388 0.2500  4 Se 2.65-2.75
Se9 0.6788 0.3212 0.5712  2 Ag 2.69, 3 Sm 2.94-3.01
Ag6 0.0858 0.9142 0.5367  4 Se 2.69-2.78, 1 Ag 2.96
Sm4 0.6908 0.3092 0.4049  6 Se 2.93-3.01
Se10 0.0647 0.9353 0.1195  3 Ag 2.75-2.78, 2 Sm 2.97

=====

Entry 10:
This record from Materials Project describes a relaxed Rb3AgSn3Se8 crystal. The functional is PBE.

Calculated values
Formation energy, eV/atom: -0.92

Cell lengths 8.6154, 8.6154, 13.7380 Å; angles 90.00, 90.00, 90.00 degrees
Last column: nearest neighbours and their distance in Å.
Positions (direct):
Se1 0.1713 0.3287 0.6393  1 Sn 2.52
Se2 0.8287 0.3287 0.3607  1 Sn 2.52
Se3 0.3412 0.8412 0.1244  2 Sn 2.58-2.67
Se4 0.3287 0.1713 0.3607  1 Sn 2.52
Rb1 0.0000 0.0000 0.2222  8 Se 3.51-3.72, 1 Rb 3.82
Rb2 0.0000 0.0000 0.7778  8 Se 3.51-3.72, 1 Rb 3.82
Se5 0.8412 0.3412 0.8756  2 Sn 2.58-2.67
Se6 0.1588 0.3412 0.1244  2 Sn 2.58-2.67
Sn1 0.5000 0.0000 0.2583  4 Se 2.52-2.67
Sn2 0.0000 0.5000 0.7417  4 Se 2.52-2.67
Sn3 0.0000 0.5000 0.2583  4 Se 2.52-2.67
Se7 0.3287 0.8287 0.6393  1 Sn 2.52
Se8 0.6713 0.1713 0.6393  1 Sn 2.52
Sn4 0.0000 0.5000 0.0000  4 Se 2.58
Se9 0.8412 0.6588 0.1244  2 Sn 2.58-2.67
Se10 0.1588 0.6588 0.8756  2 Sn 2.58-2.67
Se11 0.1713 0.6713 0.3607  1 Sn 2.52
Rb3 0.5000 0.5000 0.2222  8 Se 3.51-3.72, 1 Rb 3.82
Sn5 0.5000 0.0000 0.0000  4 Se 2.58
Sn6 0.5000 0.0000 0.7417  4 Se 2.52-2.67
Se12 0.6713 0.8287 0.3607  1 Sn 2.52
Se13 0.6588 0.8412 0.8756  2 Sn 2.58-2.67
Se14 0.3412 0.1588 0.8756  2 Sn 2.58-2.67
Rb4 0.5000 0.5000 0.5000  8 Se 3.72, 2 Rb 3.82
Se15 0.6588 0.1588 0.1244  2 Sn 2.58-2.67
Se16 0.8287 0.6713 0.6393  1 Sn 2.52
Ag1 0.0000 0.5000 0.5000  4 Se 2.83
Rb5 0.5000 0.5000 0.7778  8 Se 3.51-3.72, 1 Rb 3.82
Ag2 0.5000 0.0000 0.5000  4 Se 2.83
Rb6 0.0000 0.0000 0.5000  8 Se 3.72, 2 Rb 3.82

=====

Entry 11:
This record from Materials Project describes a relaxed Rb5Ti6AgSe27 crystal. The functional is PBE.

Calculated values
Formation energy, eV/atom: -1.16

Cell lengths 13.7413, 13.7413, 14.0621 Å; angles 90.00, 90.00, 120.00 degrees
Last column: nearest neighbours and their distance in Å.
Positions (direct):
Se1 0.1538 0.8146 0.4903  1 Se 2.41, 1 Ti 2.53
Se2 0.8418 0.6410 0.4906  1 Se 2.39, 1 Ti 2.54
Se3 0.7992 0.1582 0.4906  1 Se 2.39, 1 Ti 2.54
Ti1 0.6707 0.0162 0.8744  7 Se 2.53-2.76
Rb1 0.6667 0.3333 0.5637  9 Se 3.57-3.81
Se4 0.5282 0.0150 0.0011  1 Se 2.40, 2 Ti 2.64-2.66
Se5 0.2008 0.3590 0.9906  1 Se 2.39, 1 Ti 2.54
Ti2 0.3333 0.3199 0.6152  7 Se 2.54-2.80
Se6 0.4607 0.8724 0.8804  1 Se 2.40, 1 Ti 2.56
Rb2 0.6614 0.6249 0.7384  6 Se 3.45-3.68
Se7 0.1276 0.5883 0.8804  1 Se 2.40, 1 Ti 2.56
Se8 0.6410 0.8418 0.9906  1 Se 2.39, 1 Ti 2.54
Se9 0.6922 0.1838 0.1574  1 Se 2.42, 1 Ti 2.62
Se10 0.0772 0.8818 0.3694  1 Se 2.41, 1 Ti 2.59
Se11 0.4868 0.4718 0.0011  1 Se 2.40, 2 Ti 2.64-2.66
Se12 0.3392 0.1854 0.9903  1 Se 2.41, 1 Ti 2.53
Se13 0.2061 0.1089 0.5994  1 Se 2.39, 1 Ti 2.54
Ti3 0.0134 0.6801 0.1152  7 Se 2.54-2.80
Ti4 0.3293 0.3455 0.3744  7 Se 2.53-2.76
Se14 0.8162 0.5083 0.1574  1 Se 2.42, 1 Ti 2.62
Se15 0.8853 0.6813 0.2457  1 Se 2.42, 2 Ti 2.55-2.61
Se16 0.6608 0.8462 0.4903  1 Se 2.41, 1 Ti 2.53
Ti5 0.9838 0.6545 0.8744  7 Se 2.53-2.76
Se17 0.3187 0.2040 0.2457  1 Se 2.42, 2 Ti 2.55-2.61
Se18 0.1182 0.1954 0.3694  1 Se 2.41, 1 Ti 2.59
Ti6 0.9866 0.6667 0.6152  7 Se 2.54-2.80
Se19 0.3590 0.2008 0.4906  1 Se 2.39, 1 Ti 2.54
Se20 0.4117 0.5393 0.8804  1 Se 2.40, 1 Ti 2.56
Ti7 0.3455 0.3293 0.8744  7 Se 2.53-2.76
Se21 0.0150 0.5282 0.5011  1 Se 2.40, 2 Ti 2.64-2.66
Se22 0.9850 0.5132 0.0011  1 Se 2.40, 2 Ti 2.64-2.66
Se23 0.4734 0.3353 0.7410  2 Ti 2.54
Se24 0.5083 0.8162 0.6574  1 Se 2.42, 1 Ti 2.62
Se25 0.1582 0.7992 0.9906  1 Se 2.39, 1 Ti 2.54
Se26 0.1147 0.7960 0.7457  1 Se 2.42, 2 Ti 2.55-2.61
Se27 0.8618 0.5266 0.7410  2 Ti 2.54
Se28 0.0972 0.8911 0.0994  1 Se 2.39, 1 Ti 2.54
Se29 0.4718 0.4868 0.5011  1 Se 2.40, 2 Ti 2.64-2.66
Rb3 0.3386 0.9635 0.2384  6 Se 3.45-3.68
Se30 0.8724 0.4607 0.3804  1 Se 2.40, 1 Ti 2.56
Se31 0.2040 0.3187 0.7457  1 Se 2.42, 2 Ti 2.55-2.61
Rb4 0.3751 0.0365 0.7384  6 Se 3.45-3.68
Se32 0.5266 0.8618 0.2410  2 Ti 2.54
Se33 0.8046 0.9228 0.3694  1 Se 2.41, 1 Ti 2.59
Se34 0.8911 0.0972 0.5994  1 Se 2.39, 1 Ti 2.54
Se35 0.5883 0.1276 0.3804  1 Se 2.40, 1 Ti 2.56
Se36 0.5132 0.9850 0.5011  1 Se 2.40, 2 Ti 2.64-2.66
Se37 0.6813 0.8853 0.7457  1 Se 2.42, 2 Ti 2.55-2.61
Se38 0.8818 0.0772 0.8694  1 Se 2.41, 1 Ti 2.59
Se39 0.3353 0.4734 0.2410  2 Ti 2.54
Ti8 0.6667 0.9866 0.1152  7 Se 2.54-2.80
Se40 0.8146 0.1538 0.9903  1 Se 2.41, 1 Ti 2.53
Se41 0.6647 0.1382 0.7410  2 Ti 2.54
Ti9 0.3199 0.3333 0.1152  7 Se 2.54-2.80
Se42 0.8462 0.6608 0.9903  1 Se 2.41, 1 Ti 2.53
Rb5 0.9635 0.3386 0.7384  6 Se 3.45-3.68
Se43 0.7939 0.9028 0.0994  1 Se 2.39, 1 Ti 2.54
Ti10 0.6801 0.0134 0.6152  7 Se 2.54-2.80
Se44 0.1382 0.6647 0.2410  2 Ti 2.54
Rb6 0.3333 0.6667 0.4251  12 Se 3.72-4.01
Se45 0.5393 0.4117 0.3804  1 Se 2.40, 1 Ti 2.56
Se46 0.1854 0.3392 0.4903  1 Se 2.41, 1 Ti 2.53
Se47 0.1089 0.2061 0.0994  1 Se 2.39, 1 Ti 2.54
Se48 0.9228 0.8046 0.8694  1 Se 2.41, 1 Ti 2.59
Rb7 0.6667 0.3333 0.9251  12 Se 3.72-4.01
Se49 0.3078 0.4917 0.6574  1 Se 2.42, 1 Ti 2.62
Ti11 0.6545 0.9838 0.3744  7 Se 2.53-2.76
Rb8 0.0365 0.3751 0.2384  6 Se 3.45-3.68
Ti12 0.0162 0.6707 0.3744  7 Se 2.53-2.76
Se50 0.9028 0.7939 0.5994  1 Se 2.39, 1 Ti 2.54
Rb9 0.6249 0.6614 0.2384  6 Se 3.45-3.68
Se51 0.1954 0.1182 0.8694  1 Se 2.41, 1 Ti 2.59
Se52 0.1838 0.6922 0.6574  1 Se 2.42, 1 Ti 2.62
Se53 0.7960 0.1147 0.2457  1 Se 2.42, 2 Ti 2.55-2.61
Rb10 0.3333 0.6667 0.0637  9 Se 3.57-3.81
Ag1 0.0000 0.0000 0.9882  6 Se 2.88-2.91
Se54 0.4917 0.3078 0.1574  1 Se 2.42, 1 Ti 2.62
Ag2 0.0000 0.0000 0.4882  6 Se 2.88-2.91

=====

Entry 12:
This record from Materials Project describes a relaxed RbUAgSe3 crystal. The functional is PBE.

Calculated values
Formation energy, eV/atom: -1.26
M_tot, μB/f.u.: 2.00

Cell lengths 8.0060, 8.0060, 10.9207 Å; angles 90.00, 90.00, 149.02 degrees
Last column: nearest neighbours and their distance in Å.
Positions (direct):
U1 0.0000 0.0000 0.5000  6 Se 2.88-2.90
Se1 0.3781 0.6219 0.4603  1 Ag 2.61, 2 U 2.88
U2 0.0000 0.0000 0.0000  6 Se 2.88-2.90
Ag1 0.4586 0.5414 0.2500  4 Se 2.61-2.68
Se2 0.6219 0.3781 0.5397  1 Ag 2.61, 2 U 2.88
Se3 0.6219 0.3781 0.9603  1 Ag 2.61, 2 U 2.88
Se4 0.3781 0.6219 0.0397  1 Ag 2.61, 2 U 2.88
Se5 0.0628 0.9372 0.2500  2 Ag 2.68, 2 U 2.90
Rb1 0.2539 0.7461 0.7500  8 Se 3.54-3.74, 2 Ag 3.92
Ag2 0.5414 0.4586 0.7500  4 Se 2.61-2.68
Rb2 0.7461 0.2539 0.2500  8 Se 3.54-3.74, 2 Ag 3.92
Se6 0.9372 0.0628 0.7500  2 Ag 2.68, 2 U 2.90